1.
VASP calculation (r²SCAN) on a relaxed structure of SrCrO4.

The structure in POSCAR format:
```
SrCrO4
1.0
6.753 0.000 0.000
0.000 7.398 0.000
-5.142 0.000 6.894
Sr Cr O
4 4 16
Direct
0.170 0.157 0.272
0.170 0.343 0.772
0.830 0.657 0.228
0.830 0.843 0.728
0.312 0.664 0.197
0.312 0.836 0.697
0.688 0.164 0.303
0.688 0.336 0.803
0.121 0.662 0.620
0.121 0.838 0.120
0.198 0.503 0.255
0.198 0.997 0.755
0.332 0.602 0.024
0.332 0.898 0.524
0.405 0.218 0.119
0.405 0.282 0.619
0.595 0.718 0.381
0.595 0.782 0.881
0.668 0.102 0.476
0.668 0.398 0.976
0.802 0.003 0.245
0.802 0.497 0.745
0.879 0.162 0.880
0.879 0.338 0.380
```

Its formation energy is -2532 meV per atom. Its crystal system is monoclinic. The calculation puts the total magnetization at 0.00 Bohr magnetons per cell. Its space-group type is No. 14.

***

2.
VASP calculation (r²SCAN) on a relaxed structure of CaGa2Se4.

The structure in POSCAR format:
```
CaGa2Se4
1.0
0.000 10.557 10.617
6.368 0.000 10.617
6.368 10.557 0.000
Ca Ga Se
8 16 32
Direct
0.123 0.123 0.627
0.125 0.125 0.125
0.373 0.373 0.877
0.375 0.375 0.375
0.625 0.625 0.625
0.627 0.627 0.123
0.875 0.875 0.875
0.877 0.877 0.373
0.030 0.470 0.861
0.112 0.386 0.366
0.139 0.861 0.470
0.139 0.861 0.970
0.365 0.634 0.614
0.366 0.635 0.112
0.386 0.112 0.635
0.470 0.030 0.139
0.530 0.970 0.861
0.614 0.888 0.365
0.634 0.365 0.888
0.635 0.366 0.386
0.861 0.139 0.030
0.861 0.139 0.530
0.888 0.614 0.634
0.970 0.530 0.139
0.086 0.088 0.415
0.088 0.086 0.911
0.088 0.585 0.412
0.089 0.585 0.912
0.153 0.844 0.661
0.156 0.847 0.158
0.158 0.339 0.156
0.181 0.316 0.652
0.316 0.181 0.350
0.339 0.158 0.847
0.348 0.650 0.819
0.350 0.652 0.316
0.412 0.416 0.088
0.415 0.911 0.086
0.415 0.912 0.584
0.416 0.412 0.585
0.584 0.588 0.415
0.585 0.088 0.416
0.585 0.089 0.914
0.588 0.584 0.912
0.650 0.348 0.684
0.652 0.350 0.181
0.661 0.842 0.153
0.684 0.819 0.650
0.819 0.684 0.348
0.842 0.661 0.844
0.844 0.153 0.842
0.847 0.156 0.339
0.911 0.415 0.088
0.912 0.415 0.588
0.912 0.914 0.089
0.914 0.912 0.585
```

Its formation energy is -1173 meV per atom. Its crystal system is orthorhombic. The calculation puts the total magnetization at 0.00 Bohr magnetons per cell. Its space-group type is No. 70.

***

3.
VASP calculation (r²SCAN) on a relaxed structure of LiGaCl3.

The structure in POSCAR format:
```
LiGaCl3
1.0
15.086 0.000 0.000
0.000 9.675 0.000
0.000 0.000 6.130
Li Ga Cl
8 8 24
Direct
0.131 0.009 0.116
0.131 0.491 0.116
0.369 0.509 0.616
0.369 0.991 0.616
0.631 0.009 0.384
0.631 0.491 0.384
0.869 0.509 0.884
0.869 0.991 0.884
0.006 0.250 0.548
0.142 0.750 0.587
0.358 0.250 0.087
0.494 0.750 0.048
0.506 0.250 0.952
0.642 0.750 0.913
0.858 0.250 0.413
0.994 0.750 0.452
0.032 0.066 0.765
0.032 0.434 0.765
0.112 0.250 0.290
0.156 0.750 0.951
0.221 0.571 0.453
0.221 0.929 0.453
0.279 0.071 0.953
0.279 0.429 0.953
0.344 0.250 0.451
0.388 0.750 0.790
0.468 0.566 0.265
0.468 0.934 0.265
0.532 0.066 0.735
0.532 0.434 0.735
0.612 0.250 0.210
0.656 0.750 0.549
0.721 0.571 0.047
0.721 0.929 0.047
0.779 0.071 0.547
0.779 0.429 0.547
0.844 0.250 0.049
0.888 0.750 0.710
0.968 0.566 0.235
0.968 0.934 0.235
```

Its formation energy is -1509 meV per atom. Its crystal system is orthorhombic. The calculation puts the total magnetization at 0.00 Bohr magnetons per cell. Its space-group type is No. 62.

***

4.
VASP calculation (r²SCAN) on a relaxed structure of SrAg.

The structure in POSCAR format:
```
SrAg
1.0
42.044 0.000 0.000
0.000 4.731 0.000
0.000 0.000 6.370
Sr Ag
20 20
Direct
0.036 0.250 0.129
0.064 0.750 0.628
0.136 0.250 0.365
0.164 0.750 0.875
0.236 0.250 0.612
0.264 0.750 0.112
0.336 0.250 0.375
0.364 0.750 0.865
0.436 0.250 0.128
0.464 0.750 0.629
0.536 0.250 0.371
0.564 0.750 0.872
0.636 0.250 0.135
0.664 0.750 0.625
0.736 0.250 0.888
0.764 0.750 0.388
0.836 0.250 0.125
0.864 0.750 0.635
0.936 0.250 0.372
0.964 0.750 0.871
0.007 0.250 0.620
0.093 0.750 0.119
0.107 0.250 0.877
0.193 0.750 0.362
0.207 0.250 0.121
0.293 0.750 0.621
0.307 0.250 0.862
0.393 0.750 0.377
0.407 0.250 0.619
0.493 0.750 0.120
0.507 0.250 0.880
0.593 0.750 0.381
0.607 0.250 0.623
0.693 0.750 0.138
0.707 0.250 0.379
0.793 0.750 0.879
0.807 0.250 0.638
0.893 0.750 0.123
0.907 0.250 0.881
0.993 0.750 0.380
```

Its formation energy is -273 meV per atom. Its crystal system is orthorhombic. The calculation puts the total magnetization at 0.00 Bohr magnetons per cell. Its space-group type is No. 62.

***

5.
VASP calculation (r²SCAN) on a relaxed structure of Ti4CrBi2.

The structure in POSCAR format:
```
Ti4CrBi2
1.0
-5.259 5.259 2.548
5.259 -5.259 2.548
5.259 5.259 -2.548
Ti Cr Bi
8 2 4
Direct
0.079 0.808 0.887
0.192 0.079 0.271
0.308 0.579 0.887
0.421 0.308 0.729
0.579 0.692 0.271
0.692 0.421 0.113
0.808 0.921 0.729
0.921 0.192 0.113
0.250 0.250 0.000
0.750 0.750 0.000
0.141 0.359 0.500
0.359 0.859 0.218
0.641 0.141 0.782
0.859 0.641 0.500
```

Its formation energy is -206 meV per atom. Its crystal system is tetragonal. The calculation puts the total magnetization at 0.00 Bohr magnetons per cell. Its space-group type is No. 140.

***

6.
VASP calculation (r²SCAN) on a relaxed structure of DyPb3.

The structure in POSCAR format:
```
DyPb3
1.0
4.849 0.000 0.000
0.000 4.849 0.000
0.000 0.000 4.849
Dy Pb
1 3
Direct
0.000 0.000 0.000
0.000 0.500 0.500
0.500 0.000 0.500
0.500 0.500 0.000
```

Its formation energy is -354 meV per atom. Its crystal system is cubic. The calculation puts the total magnetization at 0.00 Bohr magnetons per cell. Its space-group type is No. 221.

***

7.
VASP calculation (r²SCAN) on a relaxed structure of CaPd3O4.

The structure in POSCAR format:
```
CaPd3O4
1.0
5.768 0.000 0.000
0.000 5.768 0.000
0.000 0.000 5.768
Ca Pd O
2 6 8
Direct
0.000 0.000 0.000
0.500 0.500 0.500
0.000 0.250 0.500
0.000 0.750 0.500
0.250 0.500 0.000
0.500 0.000 0.250
0.500 0.000 0.750
0.750 0.500 0.000
0.250 0.250 0.250
0.250 0.250 0.750
0.250 0.750 0.250
0.250 0.750 0.750
0.750 0.250 0.250
0.750 0.250 0.750
0.750 0.750 0.250
0.750 0.750 0.750
```

Its formation energy is -1368 meV per atom. Its crystal system is cubic. The calculation puts the total magnetization at 0.00 Bohr magnetons per cell. Its space-group type is No. 223.

***

8.
VASP calculation (r²SCAN) on a relaxed structure of Li3VB2O6.

The structure in POSCAR format:
```
Li3VB2O6
1.0
5.135 0.000 0.000
0.000 8.788 0.000
-4.983 0.000 9.659
Li V B O
12 4 8 24
Direct
0.016 0.022 0.171
0.016 0.478 0.671
0.048 0.661 0.878
0.048 0.839 0.378
0.426 0.014 0.604
0.426 0.486 0.104
0.574 0.514 0.896
0.574 0.986 0.396
0.952 0.161 0.622
0.952 0.339 0.122
0.984 0.522 0.329
0.984 0.978 0.829
0.475 0.675 0.621
0.475 0.825 0.121
0.525 0.175 0.879
0.525 0.325 0.379
0.045 0.176 0.379
0.045 0.324 0.879
0.467 0.162 0.132
0.467 0.338 0.632
0.533 0.662 0.368
0.533 0.838 0.868
0.955 0.676 0.121
0.955 0.824 0.621
0.121 0.183 0.846
0.121 0.317 0.346
0.194 0.667 0.094
0.194 0.833 0.594
0.204 0.050 0.383
0.204 0.450 0.883
0.318 0.666 0.412
0.318 0.834 0.912
0.357 0.022 0.146
0.357 0.478 0.646
0.362 0.208 0.664
0.362 0.292 0.164
0.638 0.708 0.836
0.638 0.792 0.336
0.643 0.522 0.354
0.643 0.978 0.854
0.682 0.166 0.088
0.682 0.334 0.588
0.796 0.550 0.117
0.796 0.950 0.617
0.806 0.167 0.406
0.806 0.333 0.906
0.879 0.683 0.654
0.879 0.817 0.154
```

Its formation energy is -2534 meV per atom. Its crystal system is monoclinic. The calculation puts the total magnetization at 8.00 Bohr magnetons per cell. Its space-group type is No. 14.

***

9.
VASP calculation (r²SCAN) on a relaxed structure of Na4VO4.

The structure in POSCAR format:
```
Na4VO4
1.0
5.702 0.000 0.000
2.069 5.326 0.000
2.728 -0.510 7.989
Na V O
8 2 8
Direct
0.044 0.231 0.434
0.214 0.760 0.178
0.226 0.253 0.015
0.444 0.266 0.607
0.556 0.734 0.393
0.774 0.747 0.985
0.786 0.240 0.822
0.956 0.769 0.566
0.403 0.782 0.755
0.597 0.218 0.245
0.194 0.984 0.643
0.222 0.637 0.917
0.318 0.474 0.377
0.434 0.023 0.200
0.566 0.977 0.800
0.682 0.526 0.623
0.778 0.363 0.083
0.806 0.016 0.357
```

Its formation energy is -2085 meV per atom. Its crystal system is triclinic. The calculation puts the total magnetization at 2.00 Bohr magnetons per cell. Its space-group type is No. 2.

***

10.
VASP calculation (r²SCAN) on a relaxed structure of Hf2V3Ru.

The structure in POSCAR format:
```
Hf2V3Ru
1.0
5.220 0.000 0.000
-2.610 4.520 0.000
0.000 0.000 8.184
Hf V Ru
4 6 2
Direct
0.333 0.667 0.061
0.333 0.667 0.439
0.667 0.333 0.561
0.667 0.333 0.939
0.170 0.340 0.750
0.170 0.830 0.750
0.340 0.170 0.250
0.660 0.830 0.750
0.830 0.170 0.250
0.830 0.660 0.250
0.000 0.000 0.000
0.000 0.000 0.500
```

Its formation energy is -327 meV per atom. Its crystal system is hexagonal. The calculation puts the total magnetization at 0.00 Bohr magnetons per cell. Its space-group type is No. 194.

***

11.
VASP calculation (r²SCAN) on a relaxed structure of Y2Si4CN6.

The structure in POSCAR format:
```
Y2Si4CN6
1.0
5.923 0.000 0.000
0.000 9.923 0.000
-5.873 0.000 10.328
Y Si C N
8 16 4 24
Direct
0.156 0.087 0.418
0.156 0.413 0.918
0.171 0.067 0.906
0.171 0.433 0.406
0.829 0.567 0.594
0.829 0.933 0.094
0.844 0.587 0.082
0.844 0.913 0.582
0.177 0.227 0.659
0.177 0.273 0.159
0.299 0.706 0.824
0.299 0.794 0.324
0.336 0.712 0.579
0.336 0.788 0.079
0.496 0.520 0.250
0.496 0.980 0.750
0.504 0.020 0.250
0.504 0.480 0.750
0.664 0.212 0.921
0.664 0.288 0.421
0.701 0.206 0.676
0.701 0.294 0.176
0.823 0.727 0.841
0.823 0.773 0.341
0.476 0.708 0.247
0.476 0.792 0.747
0.524 0.208 0.253
0.524 0.292 0.753
0.004 0.211 0.001
0.004 0.289 0.501
0.018 0.238 0.245
0.018 0.262 0.745
0.202 0.054 0.637
0.202 0.446 0.137
0.259 0.536 0.778
0.259 0.964 0.278
0.440 0.544 0.601
0.440 0.956 0.101
0.461 0.715 0.990
0.461 0.785 0.490
0.539 0.215 0.510
0.539 0.285 0.010
0.560 0.044 0.899
0.560 0.456 0.399
0.741 0.036 0.722
0.741 0.464 0.222
0.798 0.554 0.863
0.798 0.946 0.363
0.982 0.738 0.255
0.982 0.762 0.755
0.996 0.711 0.499
0.996 0.789 0.999
```

Its formation energy is -1444 meV per atom. Its crystal system is monoclinic. The calculation puts the total magnetization at 0.00 Bohr magnetons per cell. Its space-group type is No. 14.

***

12.
VASP calculation (r²SCAN) on a relaxed structure of SmMg2Sc.

The structure in POSCAR format:
```
SmMg2Sc
1.0
7.445 0.000 0.000
0.000 7.445 0.000
0.000 0.000 7.445
Sm Mg Sc
4 8 4
Direct
0.000 0.000 0.000
0.000 0.500 0.500
0.500 0.000 0.500
0.500 0.500 0.000
0.250 0.250 0.250
0.250 0.250 0.750
0.250 0.750 0.250
0.250 0.750 0.750
0.750 0.250 0.250
0.750 0.250 0.750
0.750 0.750 0.250
0.750 0.750 0.750
0.000 0.000 0.500
0.000 0.500 0.000
0.500 0.000 0.000
0.500 0.500 0.500
```

Its formation energy is -68 meV per atom. Its crystal system is cubic. The calculation puts the total magnetization at 0.00 Bohr magnetons per cell. Its space-group type is No. 225.